Entry from the Materials Project: a relaxed MgV2P2O10 crystal (PBE with a Hubbard U).

Cell: 8.825 6.728 9.853 Å, 60.91 41.77 77.32°
Fractional coordinates of all 30 atoms:
Mg: 0.000 0.000 0.000
Mg: 0.250 0.250 0.250
V: 0.098 0.625 0.642
V: 0.608 0.616 0.152
V: 0.616 0.608 0.625
V: 0.625 0.098 0.634
P: 0.036 0.451 0.049
P: 0.201 0.785 0.214
P: 0.451 0.036 0.465
P: 0.785 0.201 0.799
O: 0.055 0.365 0.915
O: 0.175 0.871 0.352
O: 0.240 0.918 0.555
O: 0.278 0.551 0.919
O: 0.331 0.998 0.972
O: 0.335 0.586 0.195
O: 0.365 0.055 0.664
O: 0.405 0.576 0.429
O: 0.551 0.278 0.252
O: 0.576 0.405 0.590
O: 0.586 0.335 0.885
O: 0.648 0.898 0.379
O: 0.660 0.821 0.674
O: 0.695 0.963 0.010
O: 0.821 0.660 0.845
O: 0.871 0.175 0.602
O: 0.898 0.648 0.075
O: 0.918 0.240 0.287
O: 0.963 0.695 0.332
O: 0.998 0.331 0.699

Properties
theoretical density: 3502 kg/m3

---

Entry from the Materials Project: a relaxed MgV2P2O10 crystal (PBE with a Hubbard U).

Cell: 6.349 6.349 5.279 Å, 90.00 90.00 90.00°
Fractional coordinates of all 15 atoms:
Mg: 0.000 0.000 0.000
V: 0.000 0.500 0.577
V: 0.500 0.000 0.423
P: 0.000 0.000 0.500
P: 0.500 0.500 0.500
O: 0.000 0.500 0.269
O: 0.012 0.187 0.688
O: 0.187 0.988 0.312
O: 0.301 0.513 0.671
O: 0.487 0.301 0.329
O: 0.500 0.000 0.731
O: 0.513 0.699 0.329
O: 0.699 0.487 0.671
O: 0.813 0.012 0.312
O: 0.988 0.813 0.688

Properties
theoretical density: 2717 kg/m3

---

Entry from the Materials Project: a relaxed MgV4P2O13 crystal (PBE with a Hubbard U).

Cell: 4.980 5.245 8.884 Å, 91.52 99.03 101.41°
Fractional coordinates of all 20 atoms:
Mg: 0.000 0.000 0.000
V: 0.077 0.798 0.295
V: 0.244 0.554 0.919
V: 0.393 0.331 0.522
V: 0.546 0.121 0.835
P: 0.619 0.250 0.205
P: 0.889 0.858 0.627
O: 0.069 0.989 0.508
O: 0.088 0.864 0.785
O: 0.167 0.730 0.101
O: 0.236 0.541 0.423
O: 0.354 0.362 0.736
O: 0.418 0.240 0.041
O: 0.435 0.126 0.324
O: 0.588 0.820 0.916
O: 0.660 0.021 0.638
O: 0.726 0.537 0.251
O: 0.763 0.575 0.574
O: 0.844 0.090 0.192
O: 0.895 0.310 0.899

Properties
theoretical density: 3688 kg/m3

---

Entry from the Materials Project: a relaxed MgVPO5 crystal (PBE with a Hubbard U).

Cell: 5.307 5.451 7.049 Å, 105.51 104.48 101.24°
Fractional coordinates of all 16 atoms:
Mg: 0.000 0.000 0.000
Mg: 0.391 0.691 0.470
V: 0.716 0.370 0.257
V: 0.718 0.363 0.756
P: 0.054 0.025 0.501
P: 0.387 0.720 0.015
O: 0.006 0.737 0.353
O: 0.040 0.217 0.374
O: 0.098 0.644 0.856
O: 0.346 0.075 0.648
O: 0.404 0.546 0.157
O: 0.414 0.010 0.146
O: 0.607 0.708 0.907
O: 0.625 0.464 0.511
O: 0.814 0.274 0.006
O: 0.847 0.030 0.622

Properties
theoretical density: 3387 kg/m3
maximum piezoelectric response: 0.432 C/m2

---

Entry from the Materials Project: a relaxed MgV8P12O48 crystal (PBE with a Hubbard U).

Cell: 8.475 8.620 11.955 Å, 89.99 89.48 89.48°
Fractional coordinates of all 69 atoms:
Mg: 0.000 0.000 0.000
V: 0.032 0.187 0.721
V: 0.036 0.132 0.233
V: 0.036 0.624 0.957
V: 0.038 0.692 0.457
V: 0.527 0.685 0.720
V: 0.531 0.628 0.225
V: 0.536 0.192 0.459
V: 0.543 0.131 0.953
P: 0.175 0.542 0.697
P: 0.176 0.268 0.983
P: 0.255 0.413 0.337
P: 0.318 0.911 0.349
P: 0.391 0.774 0.983
P: 0.401 0.045 0.698
P: 0.674 0.545 0.483
P: 0.678 0.274 0.197
P: 0.754 0.413 0.834
P: 0.816 0.909 0.833
P: 0.890 0.043 0.489
P: 0.897 0.771 0.196
O: 0.064 0.194 0.892
O: 0.075 0.634 0.616
O: 0.119 0.321 0.289
O: 0.134 0.435 0.013
O: 0.137 0.155 0.082
O: 0.137 0.592 0.818
O: 0.158 0.364 0.689
O: 0.181 0.534 0.418
O: 0.210 0.772 0.001
O: 0.214 0.020 0.276
O: 0.221 0.838 0.444
O: 0.224 0.057 0.725
O: 0.349 0.255 0.950
O: 0.353 0.484 0.242
O: 0.353 0.574 0.675
O: 0.360 0.305 0.412
O: 0.395 0.794 0.267
O: 0.431 0.720 0.863
O: 0.439 0.152 0.596
O: 0.440 0.873 0.665
O: 0.441 0.948 0.994
O: 0.451 0.008 0.401
O: 0.480 0.674 0.067
O: 0.510 0.090 0.793
O: 0.575 0.596 0.383
O: 0.579 0.183 0.113
O: 0.620 0.503 0.774
O: 0.625 0.653 0.583
O: 0.630 0.376 0.515
O: 0.635 0.227 0.318
O: 0.658 0.452 0.184
O: 0.670 0.299 0.914
O: 0.706 0.797 0.776
O: 0.713 0.077 0.510
O: 0.719 0.763 0.215
O: 0.748 0.002 0.935
O: 0.848 0.524 0.906
O: 0.852 0.556 0.463
O: 0.855 0.333 0.743
O: 0.856 0.237 0.177
O: 0.892 0.016 0.747
O: 0.917 0.866 0.508
O: 0.927 0.082 0.367
O: 0.944 0.937 0.156
O: 0.945 0.660 0.097
O: 0.956 0.825 0.894
O: 0.994 0.142 0.566
O: 0.994 0.731 0.299

Properties
theoretical density: 2988 kg/m3

---

Entry from the Materials Project: a relaxed MgV4P4O20 crystal (PBE with a Hubbard U).

Cell: 5.210 7.463 10.312 Å, 69.17 88.51 69.82°
Fractional coordinates of all 29 atoms:
Mg: 0.000 0.000 0.000
V: 0.378 0.303 0.969
V: 0.378 0.792 0.718
V: 0.482 0.808 0.241
V: 0.957 0.307 0.455
P: 0.099 0.585 0.160
P: 0.732 0.085 0.743
P: 0.809 0.085 0.258
P: 0.997 0.564 0.662
O: 0.038 0.941 0.801
O: 0.064 0.440 0.568
O: 0.074 0.427 0.816
O: 0.103 0.929 0.284
O: 0.133 0.461 0.066
O: 0.147 0.438 0.314
O: 0.150 0.721 0.623
O: 0.205 0.082 0.532
O: 0.301 0.704 0.123
O: 0.319 0.078 0.041
O: 0.455 0.587 0.863
O: 0.545 0.958 0.763
O: 0.596 0.985 0.312
O: 0.624 0.585 0.375
O: 0.663 0.199 0.847
O: 0.683 0.698 0.631
O: 0.704 0.233 0.592
O: 0.735 0.199 0.094
O: 0.788 0.245 0.325
O: 0.812 0.763 0.124

Properties
theoretical density: 3192 kg/m3

---

no.,M_tot (μB per formula unit),ΔE to the lowest computed polymorph (eV/atom),V (Å³/cell)
1,2.0,0.046,330
2,2.0,0.120,213
3,6.0,0.000,224
4,0.4,0.182,183
5,6.0,0.003,873
6,2.0,0.006,350